# PBE-GGA LuTh3, relaxed
# Crystal system   cubic
# Raw total energy   -26.624 eV per formula unit
data_LuTh3
_cell_length_a 5.0375
_cell_length_b 5.0375
_cell_length_c 5.0375
_cell_angle_alpha 90.00
_cell_angle_beta 90.00
_cell_angle_gamma 90.00
_symmetry_space_group_name_H-M 'P m -3 m'
_symmetry_Int_Tables_number 221
_symmetry_space_group_name_Hall '-P 4 2 3'
loop_
_atom_site_label
_atom_site_fract_x
_atom_site_fract_y
_atom_site_fract_z
Lu1 0.0000 0.0000 0.0000
Th1 0.0000 0.5000 0.5000